# 1
This record from Materials Project describes a relaxed H4Pt crystal. The functional is PBE.

The structure in extended XYZ format:
```
15
Lattice="-3.3532 3.3532 3.3532 3.3532 -3.3532 3.3532 3.3532 3.3532 -3.3532" Properties=species:S:1:pos:R:3 pbc="T T T"
H 1.6798 0.0000 0.0000
H 5.0265 0.0000 0.0000
H 0.0000 1.6798 0.0000
H 0.0000 0.0000 1.6798
H 3.3532 1.6766 0.0000
H 3.3532 0.0000 1.6766
H 1.6766 3.3532 0.0000
H 1.6766 0.0000 3.3532
H 0.0000 5.0265 0.0000
H 0.0000 3.3532 1.6766
H 0.0000 1.6766 3.3532
H 0.0000 0.0000 5.0265
Pt 3.3532 0.0000 0.0000
Pt 0.0000 3.3532 0.0000
Pt 0.0000 0.0000 3.3532
```

Values from the calculation:
For the calculated total energy, the calculation gives -3.5881 eV/atom. The energy of formation comes out at 164 kJ/mol of formula units. The symmetry is Im-3m. The crystal system is cubic.

# 2
This record from Materials Project describes a relaxed KMgH9C2O10 crystal. The functional is PBE.

The structure in extended XYZ format:
```
23
Lattice="5.3574 0.0000 0.0000 -2.0041 6.4296 0.0000 -0.1370 -3.1623 6.3876" Properties=species:S:1:pos:R:3 pbc="T T T"
K 0.0000 0.0000 0.0000
Mg 1.6082 1.6336 3.1938
H -1.0020 3.2148 0.0000
H -1.3953 2.9662 2.7089
H 0.5857 -0.5840 3.8404
H 0.3444 2.0167 5.5465
H 0.3529 3.4830 4.8397
H 2.8635 -0.2158 1.5479
H 2.8720 1.2506 0.8411
H 2.6307 3.8513 2.5472
H 4.6117 0.3011 3.6787
C 0.5600 3.8277 1.2954
C 2.6564 -0.5605 5.0922
O 0.1400 0.1246 3.2804
O -0.2683 4.1399 0.2996
O 0.3544 2.7293 1.9329
O 1.7088 -1.3821 4.8190
O 0.8153 2.5947 4.8838
O 2.4012 0.6726 1.5038
O 1.5076 4.6494 1.5686
O 2.8620 0.5380 4.4547
O 3.4847 -0.8726 6.0880
O 3.0764 3.1427 3.1072
```

Values from the calculation:
For the calculated total energy, the calculation gives -5.7831 eV/atom. The energy of formation comes out at -3734 kJ/mol of formula units. The symmetry is P-1. The crystal system is triclinic.

# 3
This record from Materials Project describes a relaxed AlNi2As crystal. The functional is PBE.

The structure in extended XYZ format:
```
4
Lattice="3.6400 0.0000 0.0000 -1.8200 3.1524 0.0000 0.0000 0.0000 4.8969" Properties=species:S:1:pos:R:3 pbc="T T T"
Al 0.0000 0.0000 0.0000
Ni 0.0000 2.1016 1.2418
Ni 0.0000 2.1016 3.6550
As 1.8200 1.0508 2.4484
```

Values from the calculation:
For the calculated total energy, the calculation gives -5.3472 eV/atom. The energy of formation comes out at -137 kJ/mol of formula units. The symmetry is P-6m2. The crystal system is hexagonal.

# 4
This record from Materials Project describes a relaxed Ba2SnTe5 crystal. The functional is PBE.

The structure in extended XYZ format:
```
32
Lattice="6.9890 0.0000 0.0000 0.0000 24.5686 0.0000 0.0000 0.0000 7.0823" Properties=species:S:1:pos:R:3 pbc="T T T"
Ba 0.0416 2.4510 0.0743
Ba 0.0416 9.8333 0.0743
Ba 3.4529 14.7353 3.6154
Ba 3.4529 22.1176 3.6154
Ba 3.5361 2.4510 3.4669
Ba 3.5361 9.8333 3.4669
Ba 6.9474 14.7353 7.0080
Ba 6.9474 22.1176 7.0080
Sn 0.7084 18.4265 4.1473
Sn 2.7861 6.1422 0.6062
Sn 4.2029 18.4265 6.4761
Sn 6.2806 6.1422 2.9350
Te 0.0567 3.5539 3.6583
Te 0.0567 8.7304 3.6583
Te 0.0569 18.4265 6.9267
Te 1.0061 0.0882 4.5489
Te 1.0061 12.1961 4.5489
Te 2.4884 12.3725 1.0077
Te 2.4884 24.4804 1.0077
Te 3.4376 6.1422 3.3855
Te 3.4378 15.8382 0.1171
Te 3.4378 21.0147 0.1171
Te 3.5512 3.5539 6.9652
Te 3.5512 8.7304 6.9652
Te 3.5514 18.4265 3.6968
Te 4.5006 0.0882 6.0746
Te 4.5006 12.1961 6.0746
Te 5.9829 12.3725 2.5334
Te 5.9829 24.4804 2.5334
Te 6.9321 6.1422 0.1556
Te 6.9323 15.8382 3.4240
Te 6.9323 21.0147 3.4240
```

Values from the calculation:
For the calculated total energy, the calculation gives -3.9178 eV/atom. The energy of formation comes out at -954 kJ/mol of formula units. The symmetry is Pnma. The crystal system is orthorhombic.

# 5
This record from Materials Project describes a relaxed K4P4H6O15 crystal. The functional is PBE.

The structure in extended XYZ format:
```
58
Lattice="9.1131 -3.5098 0.0000 9.1131 3.5098 0.0000 -7.3813 0.0000 12.3725" Properties=species:S:1:pos:R:3 pbc="T T T"
K 0.3774 0.6272 7.7469
K 4.3730 1.9607 7.4706
K 2.7812 1.9607 11.0882
K 4.0680 -0.6272 1.5606
K 6.7769 0.6272 10.8119
K 8.0637 -1.9607 1.2843
K 6.4719 -1.9607 4.9019
K 10.4676 -0.6272 4.6256
P -3.2064 0.6499 9.7273
P 0.4843 -0.6499 3.5410
P -0.6474 0.3579 11.2300
P 3.0432 -0.3579 5.0438
P 7.8017 0.3579 7.3287
P 11.4923 -0.3579 1.1425
P 10.3606 0.6499 8.8315
P 14.0513 -0.6499 2.6452
H 6.2186 1.8072 0.4428
H 4.8387 1.4107 4.3104
H 6.6431 0.6086 2.6375
H 8.3170 1.8072 5.7434
H 9.6969 1.4107 1.8759
H 7.8924 0.6086 3.5488
H 2.9525 -0.6086 8.8237
H 1.1481 -1.4107 10.4966
H 2.5279 -1.8072 6.6291
H 4.2018 -0.6086 9.7350
H 6.0062 -1.4107 8.0621
H 4.6263 -1.8072 11.9296
O -0.1154 0.7110 3.7287
O 5.0706 2.4128 4.1669
O -0.6339 1.7897 11.9240
O 5.4341 1.7396 1.7412
O -1.5645 0.5777 9.8755
O -3.8060 -0.7110 9.9149
O 2.4174 0.6934 5.9201
O 9.4650 2.4128 2.0194
O 2.1261 -0.5777 3.6892
O 0.7365 0.0705 10.6780
O 7.7882 1.7897 6.6348
O 9.1015 1.7396 4.4451
O 4.4272 -0.0705 4.4917
O -1.2732 -0.6934 12.1063
O 7.2678 -0.0035 3.0931
O 3.5771 0.0035 9.2794
O 12.1181 0.6934 0.2661
O 6.4177 0.0705 7.8808
O 1.7434 -1.7396 7.9274
O 3.0567 -1.7897 5.7377
O 10.1084 -0.0705 1.6945
O 8.7188 0.5777 8.6833
O 1.3800 -2.4128 10.3531
O 8.4275 -0.6934 6.4524
O 14.6509 0.7110 2.4576
O 12.4095 -0.5777 2.4970
O 5.4108 -1.7396 10.6313
O 11.4789 -1.7897 0.4485
O 5.7743 -2.4128 8.2056
O 10.9603 -0.7110 8.6438
```

Values from the calculation:
For the calculated total energy, the calculation gives -6.0687 eV/atom. The energy of formation comes out at -6332 kJ/mol of formula units. The symmetry is C2/c. The crystal system is monoclinic.

# 6
This record from Materials Project describes a relaxed Cs2TaCuCl6 crystal. The functional is PBE.

The structure in extended XYZ format:
```
10
Lattice="0.0000 5.1286 5.1286 5.1286 0.0000 5.1286 5.1286 5.1286 0.0000" Properties=species:S:1:pos:R:3 pbc="T T T"
Cs 2.5643 2.5643 2.5643
Cs 7.6929 7.6929 7.6929
Ta 0.0000 0.0000 0.0000
Cu 5.1286 5.1286 5.1286
Cl 5.1286 5.1286 2.5176
Cl 5.1286 2.5176 5.1286
Cl 7.7396 5.1286 5.1286
Cl 2.5176 5.1286 5.1286
Cl 5.1286 7.7396 5.1286
Cl 5.1286 5.1286 7.7396
```

Values from the calculation:
For the calculated total energy, the calculation gives -4.1171 eV/atom. The energy of formation comes out at -1545 kJ/mol of formula units. The symmetry is Fm-3m. The crystal system is cubic.